Entry 1:
Below is Rb3FeF6 after structural relaxation, with properties calculated at the GGA+U level.

Values from the calculation:
**ΔH_f (0 K)**: -275 kJ per mole of atoms

Cell: 6.647 6.647 6.647 Å, 120.85 120.85 88.53°
Element x y z (fractional)
Rb: 0.750 0.250 0.500
Rb: 0.250 0.750 0.500
Rb: 0.500 0.500 0.000
Fe: 0.000 0.000 0.000
F: 0.000 0.296 0.296
F: 0.000 0.704 0.704
F: 0.296 0.000 0.296
F: 0.704 0.000 0.704
F: 0.214 0.214 0.000
F: 0.786 0.786 0.000


Entry 2:
Below is Co3P2O8 after structural relaxation, with properties calculated at the GGA+U level.

Values from the calculation:
**ΔH_f (0 K)**: -207 kJ per mole of atoms

Cell: 4.803 6.011 10.371 Å, 90.73 90.00 90.00°
Element x y z (fractional)
Co: 0.500 0.500 0.500
Co: 0.017 0.763 0.724
Co: 0.482 0.764 0.224
Co: 0.000 0.500 0.000
Co: 0.517 0.237 0.776
Co: 0.982 0.236 0.276
P: 0.074 0.257 0.597
P: 0.426 0.257 0.097
P: 0.574 0.743 0.903
P: 0.926 0.743 0.403
O: 0.729 0.533 0.840
O: 0.229 0.468 0.660
O: 0.272 0.468 0.160
O: 0.772 0.532 0.340
O: 0.186 0.254 0.457
O: 0.686 0.746 0.043
O: 0.314 0.253 0.957
O: 0.814 0.747 0.543
O: 0.246 0.726 0.396
O: 0.754 0.275 0.604
O: 0.254 0.725 0.896
O: 0.746 0.274 0.104
O: 0.687 0.937 0.821
O: 0.813 0.937 0.321
O: 0.313 0.063 0.179
O: 0.188 0.063 0.679


Entry 3:
Below is Li9Mn2Co5O16 after structural relaxation, with properties calculated at the GGA+U level.

Values from the calculation:
**ΔH_f (0 K)**: -172 kJ per mole of atoms

Cell: 2.905 5.150 19.353 Å, 85.61 90.00 90.00°
Element x y z (fractional)
Li: 0.500 0.503 0.996
Li: 0.000 0.616 0.125
Li: 0.500 0.743 0.247
Li: 0.000 0.871 0.368
Li: 0.500 0.009 0.503
Li: 0.000 0.387 0.876
Li: 0.500 0.241 0.753
Li: 0.000 0.144 0.633
Li: 0.500 0.864 0.876
Mn: 0.000 0.988 0.996
Mn: 0.000 0.514 0.501
Co: 0.500 0.122 0.124
Co: 0.000 0.243 0.250
Co: 0.500 0.370 0.373
Co: 0.500 0.654 0.631
Co: 0.000 0.746 0.759
O: 0.500 0.162 0.945
O: 0.000 0.280 0.063
O: 0.500 0.415 0.189
O: 0.000 0.542 0.314
O: 0.500 0.675 0.445
O: 0.000 0.028 0.805
O: 0.500 0.933 0.684
O: 0.000 0.793 0.560
O: 0.500 0.834 0.056
O: 0.000 0.945 0.184
O: 0.500 0.068 0.312
O: 0.000 0.225 0.441
O: 0.500 0.353 0.556
O: 0.000 0.707 0.943
O: 0.500 0.557 0.809
O: 0.000 0.467 0.685


Entry 4:
Below is Li6Co2C4SO16 after structural relaxation, with properties calculated at the GGA+U level.

Values from the calculation:
**ΔH_f (0 K)**: -195 kJ per mole of atoms

Cell: 9.374 9.374 9.374 Å, 60.00 60.00 60.00°
Element x y z (fractional)
Li: 0.532 0.968 0.968
Li: 0.532 0.532 0.968
Li: 0.532 0.968 0.532
Li: 0.968 0.532 0.968
Li: 0.282 0.718 0.718
Li: 0.282 0.282 0.718
Li: 0.968 0.968 0.532
Li: 0.968 0.532 0.532
Li: 0.718 0.282 0.718
Li: 0.282 0.718 0.282
Li: 0.718 0.282 0.282
Li: 0.718 0.718 0.282
Co: 0.625 0.125 0.125
Co: 0.125 0.125 0.125
Co: 0.125 0.625 0.125
Co: 0.125 0.125 0.625
C: 0.349 0.349 0.953
C: 0.349 0.349 0.349
C: 0.349 0.953 0.349
C: 0.953 0.349 0.349
C: 0.297 0.901 0.901
C: 0.901 0.297 0.901
C: 0.901 0.901 0.901
C: 0.901 0.901 0.297
S: 0.500 0.500 0.500
S: 0.750 0.750 0.750
O: 0.565 0.565 0.305
O: 0.565 0.565 0.565
O: 0.565 0.305 0.565
O: 0.305 0.565 0.565
O: 0.493 0.216 0.952
O: 0.339 0.493 0.952
O: 0.493 0.339 0.216
O: 0.216 0.339 0.952
O: 0.493 0.952 0.339
O: 0.339 0.952 0.216
O: 0.216 0.493 0.339
O: 0.339 0.216 0.493
O: 0.952 0.493 0.216
O: 0.216 0.952 0.493
O: 0.952 0.216 0.339
O: 0.298 0.911 0.757
O: 0.952 0.339 0.493
O: 0.298 0.034 0.911
O: 0.034 0.298 0.757
O: 0.298 0.757 0.034
O: 0.911 0.034 0.757
O: 0.034 0.757 0.911
O: 0.911 0.298 0.034
O: 0.757 0.298 0.911
O: 0.034 0.911 0.298
O: 0.757 0.911 0.034
O: 0.911 0.757 0.298
O: 0.757 0.034 0.298
O: 0.945 0.685 0.685
O: 0.685 0.945 0.685
O: 0.685 0.685 0.685
O: 0.685 0.685 0.945


Entry 5:
Below is MgCrAs2O7 after structural relaxation, with properties calculated at the GGA+U level.

Values from the calculation:
**ΔH_f (0 K)**: -199 kJ per mole of atoms

Cell: 8.663 7.365 9.781 Å, 66.34 90.00 90.00°
Element x y z (fractional)
Mg: 0.072 0.731 0.895
Mg: 0.572 0.269 0.605
Mg: 0.928 0.269 0.105
Mg: 0.428 0.731 0.395
Cr: 0.943 0.201 0.665
Cr: 0.443 0.799 0.835
Cr: 0.057 0.799 0.335
Cr: 0.557 0.201 0.165
As: 0.775 0.561 0.751
As: 0.275 0.439 0.749
As: 0.225 0.439 0.249
As: 0.725 0.561 0.251
As: 0.727 0.968 0.963
As: 0.227 0.032 0.537
As: 0.273 0.032 0.037
As: 0.773 0.968 0.463
O: 0.736 0.132 0.047
O: 0.236 0.868 0.453
O: 0.264 0.868 0.953
O: 0.764 0.132 0.547
O: 0.599 0.644 0.769
O: 0.099 0.356 0.731
O: 0.401 0.356 0.231
O: 0.901 0.644 0.269
O: 0.902 0.526 0.893
O: 0.402 0.474 0.607
O: 0.098 0.474 0.107
O: 0.598 0.526 0.393
O: 0.863 0.744 0.588
O: 0.363 0.256 0.912
O: 0.137 0.256 0.412
O: 0.637 0.744 0.088
O: 0.914 0.026 0.328
O: 0.414 0.974 0.172
O: 0.086 0.974 0.672
O: 0.586 0.026 0.828
O: 0.738 0.363 0.201
O: 0.238 0.637 0.299
O: 0.262 0.637 0.799
O: 0.762 0.363 0.701
O: 0.599 0.931 0.401
O: 0.099 0.069 0.099
O: 0.401 0.069 0.599
O: 0.901 0.931 0.901


Entry 6:
Below is SrLa3Mn4O10 after structural relaxation, with properties calculated at the GGA+U level.

Values from the calculation:
**ΔH_f (0 K)**: -278 kJ per mole of atoms

Cell: 9.072 9.072 11.633 Å, 71.30 71.30 35.91°
Element x y z (fractional)
Sr: 0.397 0.372 0.799
Sr: 0.628 0.603 0.201
La: 0.592 0.626 0.703
La: 0.374 0.408 0.297
La: 0.909 0.871 0.068
La: 0.129 0.091 0.932
La: 0.089 0.137 0.433
La: 0.863 0.911 0.567
Mn: 0.202 0.296 0.599
Mn: 0.704 0.798 0.401
Mn: 0.797 0.704 0.901
Mn: 0.296 0.203 0.099
Mn: 0.494 0.506 0.500
Mn: 0.504 0.496 0.000
Mn: 0.003 0.004 0.249
Mn: 0.996 0.997 0.751
O: 0.322 0.399 0.115
O: 0.601 0.678 0.885
O: 0.678 0.599 0.399
O: 0.401 0.322 0.601
O: 0.266 0.770 0.608
O: 0.230 0.734 0.392
O: 0.742 0.239 0.887
O: 0.761 0.258 0.113
O: 0.895 0.836 0.282
O: 0.164 0.105 0.718
O: 0.125 0.144 0.224
O: 0.856 0.875 0.776
O: 0.163 0.320 0.932
O: 0.680 0.837 0.068
O: 0.818 0.678 0.578
O: 0.322 0.182 0.422
O: 0.723 0.241 0.388
O: 0.759 0.277 0.612
O: 0.273 0.759 0.112
O: 0.241 0.727 0.888